No. 1
EuIn2Ni | r2SCAN | relaxed

Unit cell a=5.8006 b=5.8006 c=7.5989 alpha=90.00 beta=90.00 gamma=135.87
Fractional coordinates of all 8 atoms:
Eu  0.9427  0.0573  0.7500
Eu  0.0574  0.9426  0.2500
In  0.3456  0.6544  0.0530
In  0.6544  0.3456  0.5531
In  0.6544  0.3456  0.9469
In  0.3456  0.6544  0.4470
Ni  0.7809  0.2191  0.2500
Ni  0.2190  0.7810  0.7500

No. 2
EuIn2Pd | r2SCAN | relaxed

Unit cell a=5.7414 b=5.7414 c=7.8936 alpha=90.00 beta=90.00 gamma=133.13
Fractional coordinates of all 8 atoms:
In  0.3527  0.6473  0.0531
In  0.6473  0.3527  0.9468
In  0.6473  0.3527  0.5532
In  0.3527  0.6473  0.4468
Pd  0.7836  0.2164  0.2500
Pd  0.2165  0.7835  0.7500
Eu  0.0653  0.9347  0.2500
Eu  0.9346  0.0654  0.7500

No. 3
EuIn4Pd | r2SCAN | relaxed

Unit cell a=8.8505 b=8.8505 c=7.3915 alpha=90.00 beta=90.00 gamma=150.03
Fractional coordinates of all 12 atoms:
Pd  0.2237  0.7763  0.2500
Pd  0.7763  0.2237  0.7500
Eu  0.8769  0.1231  0.2500
Eu  0.1231  0.8769  0.7500
In  0.5000  0.5000  0.0000
In  0.3164  0.6836  0.5482
In  0.0678  0.9322  0.2500
In  0.3164  0.6836  0.9518
In  0.6836  0.3164  0.4518
In  0.9322  0.0678  0.7500
In  0.6836  0.3164  0.0482
In  0.5000  0.5000  0.5000

No. 4
EuInPt4 | r2SCAN | relaxed

Unit cell a=5.4098 b=5.4098 c=5.4098 alpha=60.00 beta=60.00 gamma=60.00
Fractional coordinates of all 6 atoms:
Pt  0.6245  0.1266  0.6245
Pt  0.6245  0.6245  0.6245
Pt  0.6245  0.6245  0.1266
Pt  0.1266  0.6245  0.6245
In  0.2500  0.2500  0.2500
Eu  0.0000  0.0000  0.0000

No. 5
EuIn2Rh | r2SCAN | relaxed

Unit cell a=5.6692 b=5.6692 c=8.0061 alpha=90.00 beta=90.00 gamma=134.27
Fractional coordinates of all 8 atoms:
In  0.6511  0.3489  0.5523
In  0.3489  0.6511  0.4477
In  0.3489  0.6511  0.0523
In  0.6511  0.3489  0.9477
Eu  0.9377  0.0623  0.7500
Eu  0.0623  0.9377  0.2500
Rh  0.2147  0.7853  0.7500
Rh  0.7853  0.2147  0.2500

No. 6
EuInRh | r2SCAN | relaxed

Unit cell a=4.3496 b=7.4042 c=8.4643 alpha=89.96 beta=90.00 gamma=90.00
Fractional coordinates of all 12 atoms:
In  0.7500  0.3549  0.4367
In  0.2500  0.6450  0.5631
In  0.7500  0.8551  0.0632
In  0.2500  0.1452  0.9370
Eu  0.7500  0.9702  0.6767
Eu  0.7500  0.4702  0.8222
Eu  0.2500  0.0297  0.3238
Eu  0.2500  0.5298  0.1773
Rh  0.2500  0.2731  0.6266
Rh  0.7500  0.7269  0.3734
Rh  0.7500  0.2269  0.1268
Rh  0.2500  0.7731  0.8734

No. 7
EuIn2Se4 | r2SCAN | relaxed

Unit cell a=6.4182 b=6.4182 c=11.0062 alpha=90.00 beta=90.00 gamma=115.91
Fractional coordinates of all 14 atoms:
Se  0.5000  0.0000  0.1808
Se  0.5000  0.0000  0.8192
Se  0.6467  0.7886  0.5000
Se  0.0000  0.5000  0.6808
Se  0.7886  0.6467  0.0000
Se  0.2114  0.3533  0.0000
Se  0.0000  0.5000  0.3192
Se  0.3533  0.2114  0.5000
In  0.7774  0.2291  0.5000
In  0.7709  0.2226  0.0000
In  0.2226  0.7709  0.5000
In  0.2291  0.7774  0.0000
Eu  0.5000  0.5000  0.7500
Eu  0.5000  0.5000  0.2500

No. 8
SrEuIn2 | r2SCAN | relaxed

Unit cell a=5.6637 b=5.6637 c=5.6637 alpha=60.00 beta=60.00 gamma=60.00
Fractional coordinates of all 4 atoms:
Sr  0.0000  0.0000  0.0000
Eu  0.5000  0.5000  0.5000
In  0.7500  0.7500  0.7500
In  0.2500  0.2500  0.2500

No. 9
YbEuIn2 | r2SCAN | relaxed

Unit cell a=5.3765 b=5.3765 c=5.3765 alpha=60.00 beta=60.00 gamma=60.00
Fractional coordinates of all 4 atoms:
In  0.7500  0.7500  0.7500
In  0.2500  0.2500  0.2500
Yb  0.5000  0.5000  0.5000
Eu  0.0000  0.0000  0.0000

No. 10
LiEu2Ir | r2SCAN | relaxed

Unit cell a=5.0706 b=5.0706 c=5.0706 alpha=60.00 beta=60.00 gamma=60.00
Fractional coordinates of all 4 atoms:
Eu  0.2500  0.2500  0.2500
Eu  0.7500  0.7500  0.7500
Ir  0.5000  0.5000  0.5000
Li  0.0000  0.0000  0.0000

No. 11
Eu2MgIrO6 | r2SCAN | relaxed

Unit cell a=5.4859 b=5.6061 c=7.7854 alpha=90.00 beta=90.03 gamma=90.00
Fractional coordinates of all 20 atoms:
Eu  0.0096  0.5478  0.2489
Eu  0.5096  0.9522  0.7489
Eu  0.9904  0.4522  0.7511
Eu  0.4904  0.0478  0.2511
O  0.6968  0.2073  0.9560
O  0.7945  0.6990  0.9571
O  0.2945  0.8010  0.4571
O  0.4163  0.5218  0.7540
O  0.3032  0.7927  0.0440
O  0.9163  0.9782  0.2540
O  0.1968  0.2927  0.4560
O  0.7055  0.1990  0.5429
O  0.5837  0.4782  0.2460
O  0.8032  0.7073  0.5440
O  0.0837  0.0218  0.7460
O  0.2055  0.3010  0.0429
Ir  0.5000  0.5000  0.0000
Ir  0.0000  0.0000  0.5000
Mg  0.5000  0.5000  0.5000
Mg  0.0000  0.0000  0.0000

No. 12
EuPIr | r2SCAN | relaxed

Unit cell a=6.2663 b=6.2666 c=6.2664 alpha=90.00 beta=90.00 gamma=90.00
Fractional coordinates of all 12 atoms:
Eu  0.1129  0.1129  0.1129
Eu  0.6129  0.3871  0.8871
Eu  0.8871  0.6129  0.3871
Eu  0.3871  0.8871  0.6129
P  0.3333  0.6666  0.1667
P  0.6667  0.1666  0.3333
P  0.1666  0.3333  0.6667
P  0.8333  0.8333  0.8333
Ir  0.0865  0.5866  0.9135
Ir  0.9135  0.0865  0.5864
Ir  0.4135  0.4135  0.4134
Ir  0.5865  0.9135  0.0866

| no. | final energy (Ha/atom) |
| --- | --- |
| 1 | -0.8954 |
| 2 | -1.0063 |
| 3 | -0.9508 |
| 4 | -1.6645 |
| 5 | -1.0146 |
| 6 | -1.0679 |
| 7 | -0.7831 |
| 8 | -0.9280 |
| 9 | -1.1243 |
| 10 | -1.2214 |
| 11 | -0.7134 |
| 12 | -1.2681 |